MgH8SO8: relaxed, GGA-PBE.

Formation energy, eV/atom: -1.652

Cell lengths 6.0094, 13.6462, 9.8940 Å; angles 90.00, 126.70, 90.00 degrees
Space group P2_1/c (No. 14)
Symmetry-distinct sites (fractional):
Mg  0.1508  0.1042  0.2225 [4 per cell]
H  0.0427  0.7347  0.7233 [4 per cell]
H  0.1098  0.0842  0.4810 [4 per cell]
H  0.1315  0.5197  0.1725 [4 per cell]
H  0.1459  0.1919  0.7263 [4 per cell]
H  0.3418  0.6854  0.0427 [4 per cell]
H  0.3642  0.0931  0.0420 [4 per cell]
H  0.3670  0.5986  0.9444 [4 per cell]
H  0.4639  0.1909  0.1506 [4 per cell]
S  0.3733  0.6077  0.6782 [4 per cell]
O  0.0026  0.5749  0.1421 [4 per cell]
O  0.0391  0.2499  0.2176 [4 per cell]
O  0.2510  0.5766  0.5023 [4 per cell]
O  0.2550  0.5464  0.7469 [4 per cell]
O  0.3118  0.1427  0.0894 [4 per cell]
O  0.3157  0.7124  0.6863 [4 per cell]
O  0.3175  0.0921  0.7158 [4 per cell]
O  0.4505  0.6275  0.0569 [4 per cell]

---

Cs4In2S5: relaxed, GGA-PBE.

Formation energy, eV/atom: -1.245

Cell lengths 8.0649, 9.9160, 11.3248 Å; angles 72.36, 70.32, 83.98 degrees
Space group P-1 (No. 2)
Symmetry-distinct sites (fractional):
Cs  0.0027  0.2879  0.4114 [2 per cell]
Cs  0.0470  0.6882  0.0419 [2 per cell]
Cs  0.2685  0.9729  0.1601 [2 per cell]
Cs  0.3807  0.3189  0.5949 [2 per cell]
In  0.3839  0.9117  0.6656 [2 per cell]
In  0.4667  0.4928  0.1583 [2 per cell]
S  0.2255  0.0155  0.8410 [2 per cell]
S  0.2493  0.6025  0.3112 [2 per cell]
S  0.2993  0.0145  0.4563 [2 per cell]
S  0.3239  0.6488  0.7274 [2 per cell]
S  0.3351  0.3532  0.0582 [2 per cell]

---

NdIn7Cu5: relaxed, GGA-PBE.

Formation energy, eV/atom: -0.097

Cell lengths 5.6330, 9.4727, 9.4516 Å; angles 90.00, 90.00, 90.00 degrees
Space group Imm2 (No. 44)
Symmetry-distinct sites (fractional):
Nd  0.0000  0.0000  0.0000 [2 per cell]
In  0.0000  0.0000  0.3444 [2 per cell]
In  0.0000  0.0000  0.6631 [2 per cell]
In  0.0000  0.2991  0.4872 [4 per cell]
In  0.0000  0.3416  0.0123 [4 per cell]
In  0.0000  0.5000  0.7273 [2 per cell]
Cu  0.0000  0.5000  0.2726 [2 per cell]
Cu  0.2447  0.2424  0.7478 [8 per cell]

---

SrNb3NO7: relaxed, GGA-PBE.

Formation energy, eV/atom: -2.810

Cell lengths 20.8524, 3.8341, 9.0062 Å; angles 90.00, 90.42, 90.00 degrees
Space group Cm (No. 8)
Symmetry-distinct sites (fractional):
Sr  0.0000  0.0000  0.0000 [2 per cell]
Sr  0.0365  0.0000  0.5009 [2 per cell]
Nb  0.1457  0.5000  0.8124 [2 per cell]
Nb  0.1534  0.5000  0.2066 [2 per cell]
Nb  0.2613  0.0000  0.0002 [2 per cell]
Nb  0.2853  0.5000  0.5195 [2 per cell]
Nb  0.3954  0.0000  0.3132 [2 per cell]
Nb  0.3953  0.0000  0.6864 [2 per cell]
N  0.3636  0.5000  0.6570 [2 per cell]
N  0.4465  0.0000  0.4971 [2 per cell]
O  0.0821  0.5000  0.6720 [2 per cell]
O  0.0838  0.5000  0.3302 [2 per cell]
O  0.0941  0.5000  0.9947 [2 per cell]
O  0.1672  0.0000  0.1534 [2 per cell]
O  0.1699  0.0000  0.8383 [2 per cell]
O  0.2207  0.5000  0.6589 [2 per cell]
O  0.2218  0.5000  0.3435 [2 per cell]
O  0.2285  0.5000  0.0013 [2 per cell]
O  0.3060  0.0000  0.4854 [2 per cell]
O  0.3151  0.0000  0.1584 [2 per cell]
O  0.3173  0.0000  0.8472 [2 per cell]
O  0.3680  0.5000  0.3362 [2 per cell]
O  0.4573  0.0000  0.1664 [2 per cell]
O  0.4590  0.0000  0.8307 [2 per cell]

---

NiC4NCl3: relaxed, GGA-PBE.

Formation energy, eV/atom: 1.031

Cell lengths 8.5081, 8.5081, 5.7646 Å; angles 90.00, 90.00, 120.00 degrees
Space group P6_3 (No. 173)
Symmetry-distinct sites (fractional):
Ni  0.0000  0.0000  0.0000 [2 per cell]
C  0.1942  0.5645  0.2440 [6 per cell]
C  0.3333  0.6667  0.0627 [2 per cell]
N  0.3333  0.6667  0.4238 [2 per cell]
Cl  0.0798  0.2389  0.7503 [6 per cell]

---

U2BiN2: relaxed, GGA-PBE.

Formation energy, eV/atom: -1.264
Distance to the lowest polymorph of the same formula, eV/atom: 0.0000

Cell lengths 3.8997, 3.8997, 12.5955 Å; angles 90.00, 90.00, 90.00 degrees
Space group I4/mmm (No. 139)
Symmetry-distinct sites (fractional):
U  0.0000  0.0000  0.1601 [4 per cell]
Bi  0.0000  0.0000  0.5000 [2 per cell]
N  0.0000  0.5000  0.2500 [4 per cell]

---

Eu2HCl2: relaxed, GGA-PBE.

Formation energy, eV/atom: -0.813

Cell lengths 5.7625, 5.7625, 13.6147 Å; angles 90.00, 90.00, 90.00 degrees
Space group P4/mmm (No. 123)
Symmetry-distinct sites (fractional):
Eu  0.0000  0.0000  0.1723 [2 per cell]
H  0.0000  0.0000  0.0000 [1 per cell]
Cl  0.0000  0.0000  0.3581 [2 per cell]

---

MgCd3: relaxed, GGA-PBE.

Formation energy, eV/atom: -0.025
Distance to the lowest polymorph of the same formula, eV/atom: 0.0445

Cell lengths 3.2087, 10.5709, 5.2890 Å; angles 90.00, 90.00, 90.00 degrees
Space group Imm2 (No. 44)
Symmetry-distinct sites (fractional):
Mg  0.0000  0.0000  0.0000 [2 per cell]
Cd  0.0000  0.2516  0.3365 [4 per cell]
Cd  0.0000  0.5000  0.0045 [2 per cell]

---

Q: Look up the formation energy of the second one.
A: -1.245 eV/atom